Ta2TeO8 | PBE | relaxed

Cell and atoms, written as POSCAR:
```
Ta2TeO8
1.0
1.993 -8.796 5.240
7.373 -6.533 3.432
0.510 2.475 4.614
Te O Ta
2 16 4
Cartesian
4.276 -6.140 8.062 Te
5.600 -6.714 5.224 Te
7.162 -7.552 4.581 O
8.546 -11.224 9.732 O
7.437 -12.821 7.713 O
5.986 -9.879 7.750 O
3.835 -6.036 6.071 O
6.248 -4.945 5.124 O
3.627 -7.909 8.162 O
2.430 -4.719 3.633 O
3.890 -2.975 5.535 O
2.439 -0.033 5.573 O
5.246 -4.312 7.990 O
7.445 -8.135 9.652 O
1.329 -1.630 3.553 O
2.713 -5.302 8.705 O
6.040 -6.818 7.214 O
4.629 -8.542 5.296 O
5.581 -3.061 5.989 Ta
1.793 -5.786 4.869 Ta
8.083 -7.068 8.417 Ta
4.295 -9.792 7.297 Ta
```

Calculated values
**Total energy after the MP2020 corrections**: -184.840 eV/cell
**Uncorrected energy**: -173.85 eV per cell
**M_tot**: 0.00 μB/f.u.


Ta2Te2O9 | PBE | relaxed

Cell and atoms, written as POSCAR:
```
Ta2Te2O9
1.0
7.667 0.000 0.000
0.000 7.242 0.000
0.000 3.210 14.619
O Ta Te
36 8 8
Cartesian
0.491 8.120 13.242 O
4.325 3.937 8.685 O
4.512 8.712 10.039 O
0.000 5.226 7.309 O
7.176 2.332 1.376 O
4.287 4.484 11.461 O
1.501 7.454 7.885 O
3.834 3.621 0.000 O
3.019 9.148 12.406 O
5.335 4.603 14.043 O
6.989 7.107 2.730 O
4.648 1.304 2.213 O
1.165 5.046 9.767 O
3.155 1.740 4.580 O
6.503 5.406 4.852 O
6.386 7.783 8.089 O
3.834 1.605 7.309 O
2.553 4.274 13.839 O
6.207 5.678 9.798 O
7.213 2.879 4.152 O
5.293 4.074 2.489 O
4.998 7.011 12.161 O
6.852 2.909 9.522 O
3.342 6.515 5.933 O
0.678 3.344 11.889 O
6.166 2.998 6.733 O
3.380 5.968 3.157 O
5.114 6.178 0.779 O
1.281 2.669 6.530 O
0.000 0.000 0.000 O
1.460 4.773 4.820 O
2.669 3.441 2.458 O
2.374 6.378 12.129 O
2.332 5.849 0.576 O
0.815 7.543 5.096 O
0.454 7.572 10.467 O
3.868 5.533 13.202 Ta
3.799 4.919 1.417 Ta
1.524 9.843 13.620 Ta
5.358 2.214 8.308 Ta
0.035 6.523 8.726 Ta
2.310 8.238 6.310 Ta
6.143 0.609 0.999 Ta
7.633 3.928 5.893 Ta
0.985 3.152 10.029 Te
6.682 7.300 4.589 Te
3.326 4.990 4.805 Te
0.507 6.595 12.115 Te
7.160 3.857 2.504 Te
4.341 5.461 9.813 Te
4.819 8.904 11.899 Te
2.849 1.547 2.720 Te
```

Calculated values
**Total energy after the MP2020 corrections**: -428.056 eV/cell
**Uncorrected energy**: -403.32 eV per cell


Th2Ta6O19 | PBE | relaxed

Cell and atoms, written as POSCAR:
```
Th2Ta6O19
1.0
3.219 -5.576 0.000
3.219 5.576 0.000
0.000 0.000 20.198
O Ta Th
38 12 4
Cartesian
2.458 4.258 17.037 O
1.993 3.453 1.155 O
1.226 2.123 19.043 O
1.993 -3.453 1.155 O
2.458 4.258 13.259 O
0.761 -1.318 3.160 O
0.761 -1.318 6.939 O
2.452 0.000 1.155 O
3.219 -1.859 17.250 O
1.993 -3.453 8.944 O
0.761 1.318 3.160 O
3.219 -1.859 2.948 O
3.219 1.859 2.948 O
2.595 0.000 5.049 O
2.452 0.000 8.944 O
2.458 -4.258 17.037 O
1.226 -2.123 11.254 O
1.297 2.247 15.148 O
1.993 3.453 8.944 O
1.297 -2.247 15.148 O
1.522 0.000 17.037 O
0.761 1.318 6.939 O
3.987 0.000 11.254 O
3.219 1.859 7.151 O
1.226 -2.123 19.043 O
3.844 0.000 15.148 O
3.987 0.000 19.043 O
3.219 -1.859 7.151 O
1.922 -3.329 5.049 O
3.219 1.859 13.047 O
1.226 2.123 11.254 O
2.458 -4.258 13.259 O
4.917 0.000 3.160 O
1.522 0.000 13.259 O
1.922 3.329 5.049 O
3.219 1.859 17.250 O
3.219 -1.859 13.047 O
4.917 0.000 6.939 O
1.117 -1.935 13.256 Ta
1.117 1.935 13.256 Ta
1.117 -1.935 17.040 Ta
1.117 1.935 17.040 Ta
2.235 0.000 6.941 Ta
2.102 -3.641 6.941 Ta
4.204 0.000 17.040 Ta
2.102 3.641 6.941 Ta
2.102 3.641 3.157 Ta
4.204 0.000 13.256 Ta
2.235 0.000 3.157 Ta
2.102 -3.641 3.157 Ta
3.219 1.859 10.099 Th
3.219 -1.859 10.099 Th
3.219 1.859 0.000 Th
3.219 -1.859 0.000 Th
```

Calculated values
**Total energy after the MP2020 corrections**: -551.447 eV/cell
**Uncorrected energy**: -525.34 eV per cell
**M_tot**: 0.02 μB/f.u.


Th4Ta18O53 | PBE | relaxed

Cell and atoms, written as POSCAR:
```
Th4Ta18O53
1.0
-5.782 2.321 -1.521
0.515 -4.842 4.174
1.833 18.428 21.151
O Ta Th
53 18 4
Cartesian
-1.232 13.301 21.713 O
1.108 11.143 12.789 O
-0.750 3.529 11.484 O
-2.596 10.986 16.066 O
-4.917 -0.119 2.271 O
0.932 8.261 15.584 O
0.721 7.251 8.322 O
0.452 4.547 5.218 O
-1.733 8.213 15.857 O
-4.744 2.255 5.076 O
-0.940 7.839 10.385 O
-0.334 12.534 17.131 O
-2.307 13.767 16.254 O
-4.374 10.791 11.186 O
-0.086 15.093 20.053 O
-2.789 8.394 13.137 O
-0.652 13.030 14.118 O
0.052 0.189 4.015 O
-4.324 7.433 11.032 O
-4.048 2.159 0.211 O
-2.264 5.253 10.114 O
-0.587 9.989 14.210 O
-0.087 18.268 19.987 O
0.394 5.300 9.842 O
0.151 2.750 6.902 O
0.191 1.925 2.210 O
-1.480 10.758 18.778 O
1.186 10.806 18.505 O
-2.962 7.184 8.700 O
-4.062 13.385 14.103 O
-2.037 16.488 19.377 O
-0.913 10.516 11.126 O
-3.228 4.508 5.628 O
-3.654 18.557 20.044 O
-0.397 15.611 17.074 O
-4.528 4.841 8.097 O
-2.531 2.701 7.177 O
-2.829 0.287 4.179 O
-1.510 2.720 4.390 O
-1.359 -1.649 5.738 O
-3.820 4.633 2.923 O
-3.808 15.961 17.065 O
-2.575 11.076 13.166 O
-2.336 13.564 19.026 O
-3.569 7.286 5.883 O
-3.264 9.878 8.810 O
-2.026 16.085 22.057 O
1.451 13.357 21.432 O
-1.198 5.313 7.397 O
1.642 16.513 18.953 O
1.376 13.833 15.877 O
-1.002 0.962 8.560 O
-1.829 0.337 1.606 O
-0.545 14.471 15.417 Ta
-3.512 6.128 4.378 Ta
-1.053 6.387 9.024 Ta
-0.796 11.996 12.526 Ta
0.443 -1.244 5.309 Ta
-1.988 14.664 20.477 Ta
-2.260 12.166 17.574 Ta
-4.128 14.558 15.652 Ta
-3.217 -1.055 5.462 Ta
-3.228 8.657 7.235 Ta
-3.909 17.072 18.546 Ta
-4.842 3.685 6.622 Ta
-2.479 9.654 14.712 Ta
-0.284 17.010 18.285 Ta
-1.351 1.244 3.297 Ta
-4.635 6.206 9.492 Ta
-1.311 3.913 6.117 Ta
-4.404 12.045 12.796 Ta
0.919 9.241 10.606 Th
1.831 18.409 21.128 Th
-2.764 9.174 10.983 Th
-1.863 18.236 21.383 Th
```

Calculated values
**Total energy after the MP2020 corrections**: -763.875 eV/cell
**Uncorrected energy**: -727.46 eV per cell
**M_tot**: 0.01 μB/f.u.


Ta2TiO6 | PBE | relaxed

Cell and atoms, written as POSCAR:
```
Ta2TiO6
1.0
0.020 -2.974 -4.877
5.483 -1.011 -1.244
1.585 -7.150 1.478
O Ti Ta
12 2 4
Cartesian
5.218 -4.966 -1.208 O
6.522 -9.949 -4.432 O
6.121 -8.200 -2.146 O
3.896 -8.999 -3.626 O
2.283 -4.856 -0.810 O
1.870 -6.169 -3.435 O
3.192 -2.136 -1.017 O
3.620 -3.791 -3.395 O
0.566 -1.186 -0.211 O
0.967 -2.935 -2.497 O
4.805 -6.279 -3.833 O
3.468 -7.344 -1.247 O
3.544 -5.568 -2.321 Ti
2.751 -1.992 -3.060 Ti
1.463 -3.031 -0.562 Ta
4.795 -4.512 -4.772 Ta
2.293 -6.623 0.129 Ta
5.625 -8.104 -4.080 Ta
```

Calculated values
**Total energy after the MP2020 corrections**: -180.737 eV/cell
**Uncorrected energy**: -172.49 eV per cell
**M_tot**: 1.68 μB/f.u.
**Relative energy among the computed polymorphs**: 5.0 meV/atom


TaTiO4 | PBE | relaxed

Cell and atoms, written as POSCAR:
```
TaTiO4
1.0
0.448 4.639 1.014
-4.483 0.662 -1.489
-1.010 -0.517 2.812
O Ta Ti
4 1 1
Cartesian
-1.214 1.595 -0.143 O
-2.821 3.705 -0.331 O
-4.007 1.194 0.415 O
-1.038 3.589 1.922 O
0.000 0.000 0.000 Ta
-2.523 2.392 1.169 Ti
```

Calculated values
**Total energy after the MP2020 corrections**: -59.385 eV/cell
**Uncorrected energy**: -56.64 eV per cell